Entry 1:
The following is a DFT calculation (PBE+U) of an optimized crystal structure of Li2MnSi2O6.

extended XYZ file:
```
66
Lattice="0.0000 10.7160 12.2061 3.1627 0.0000 12.2061 3.1627 10.7160 0.0000" Properties=species:S:1:pos:R:3 pbc="T T T"
Li 0.0000 0.0000 0.0000
Li 4.7793 8.3478 13.5184
Li 1.5814 5.3580 6.1031
Li 3.1724 6.7435 11.4891
Li 3.1627 10.7160 8.1026
Li 4.7344 12.1015 17.5922
Li 4.7441 16.0740 14.2057
Li 3.1530 14.6885 11.4891
Li 3.1979 7.7262 19.6215
Li 4.7538 20.0465 17.5922
Li 1.5462 13.0842 13.5184
Li 3.1275 13.7058 19.6215
Mn 4.8245 8.9304 10.0892
Mn 3.1627 10.7160 2.9195
Mn 1.5814 5.3580 9.0226
Mn 3.2431 7.1436 16.1923
Mn 1.5010 12.5016 10.0892
Mn 3.0823 14.2884 16.1923
Si 1.6168 1.2117 5.6022
Si 1.5814 5.3580 1.7954
Si 3.1339 7.6962 7.4082
Si 3.1982 4.1463 11.7053
Si 4.7730 13.0542 13.5113
Si 1.5459 9.5043 5.6022
Si 3.1916 13.7358 7.4082
Si 3.1627 10.7160 12.2480
Si 1.5525 8.3778 13.5113
Si 4.7441 16.0740 18.3511
Si 3.1273 17.2857 11.7053
Si 3.1627 10.7160 20.1046
O 1.8027 0.1204 6.8867
O 1.6571 3.9545 2.5768
O 4.9742 7.5246 11.6478
O 6.1112 12.1431 13.6441
O 1.5057 6.7615 2.5768
O 2.9367 8.6356 5.9944
O 3.0097 5.0880 10.4274
O 3.3900 8.7151 8.6316
O 4.5290 10.4706 11.4214
O 3.3840 5.2376 12.9897
O 1.3671 3.9309 7.5410
O 3.3888 12.7963 5.9944
O 1.7957 6.7851 7.5410
O 4.9702 13.9936 12.0975
O 4.8971 10.4460 16.5305
O 2.9354 12.7169 8.6316
O 2.9476 5.6034 17.5245
O 2.9122 9.3419 13.2316
O 4.5168 14.0730 14.7347
O 1.3601 10.5956 6.8867
O 3.4132 12.0901 13.2316
O 3.3928 8.5494 17.7508
O 1.3553 7.4384 12.0975
O 1.8087 7.3589 14.7347
O 3.3157 16.3439 10.4274
O 4.9946 14.6999 19.3346
O 1.7965 10.9614 11.4214
O 3.0870 9.3125 20.8860
O 2.9415 16.1944 12.9897
O 2.9327 12.8826 17.7508
O 4.4936 17.4481 19.3346
O 3.2384 12.1195 20.8860
O 1.3513 13.9074 11.6478
O 3.3778 15.8286 17.5245
O 3.3770 20.0048 13.6441
O 1.4284 10.9859 16.5305
```

Size of the total moment (Bohr magnetons per cell): 29.998
SG: Fdd2 (43)
E (MP2020) (eV per atom): -7.652
Calculated volume (Å³ per cell): 827.4
Polymorph energy (0 for the lowest one) (kJ/mol of atoms): 4.9


Entry 2:
The following is a DFT calculation (PBE+U) of an optimized crystal structure of BaGd2Mn2O7.

extended XYZ file:
```
48
Lattice="5.5442 0.0000 0.0000 0.0000 5.5442 0.0000 0.0000 0.0000 20.0986" Properties=species:S:1:pos:R:3 pbc="T T T"
Ba 1.3529 1.3529 0.0000
Ba 1.4192 4.1250 10.0493
Ba 4.1250 1.4192 10.0493
Ba 4.1913 4.1913 0.0000
Gd 1.2681 1.2681 3.6913
Gd 1.2681 1.2681 16.4073
Gd 1.5040 4.0402 6.3580
Gd 1.5040 4.0402 13.7406
Gd 4.0402 1.5040 6.3580
Gd 4.0402 1.5040 13.7406
Gd 4.2761 4.2761 3.6913
Gd 4.2761 4.2761 16.4073
Mn 1.3657 1.3657 7.9960
Mn 1.3657 1.3657 12.1026
Mn 1.4064 4.1378 2.0533
Mn 1.4064 4.1378 18.0453
Mn 4.1378 1.4064 2.0533
Mn 4.1378 1.4064 18.0453
Mn 4.1785 4.1785 7.9960
Mn 4.1785 4.1785 12.1026
O 0.0000 0.0000 2.0010
O 0.0000 0.0000 7.5450
O 0.0000 0.0000 12.5536
O 0.0000 0.0000 18.0976
O 0.0000 2.7721 2.2581
O 0.0000 2.7721 7.7912
O 0.0000 2.7721 12.3074
O 0.0000 2.7721 17.8405
O 1.1188 4.4253 4.1875
O 1.1188 4.4253 15.9111
O 1.2525 1.2525 10.0493
O 1.5196 4.0246 0.0000
O 1.6533 1.6533 5.8618
O 1.6533 1.6533 14.2368
O 2.7721 0.0000 2.2581
O 2.7721 0.0000 7.7912
O 2.7721 0.0000 12.3074
O 2.7721 0.0000 17.8405
O 2.7721 2.7721 2.5043
O 2.7721 2.7721 8.0483
O 2.7721 2.7721 12.0503
O 2.7721 2.7721 17.5943
O 3.8909 3.8909 5.8618
O 3.8909 3.8909 14.2368
O 4.0246 1.5196 0.0000
O 4.2916 4.2916 10.0493
O 4.4253 1.1188 4.1875
O 4.4253 1.1188 15.9111
```

SG: P4_2/mnm (136)
E (MP2020) (eV per atom): -9.897
Calculated volume (Å³ per cell): 617.8